NaH6CSNO3 | PBE | relaxed

Properties
Final energy   -5.31 eV per atom
ΔH_f (0 K)   -1.0283 eV/atom
Crystal system   trigonal
Distance to the lowest polymorph of the same formula   0 meV per atom

Unit cell a=10.705 b=10.705 c=10.705 alpha=110.78 beta=110.78 gamma=110.78
Sites, in units of the cell vectors:
N 0.349 0.219 0.208
N 0.792 0.651 0.781
N 0.781 0.792 0.651
N 0.208 0.349 0.219
N 0.651 0.781 0.792
N 0.219 0.208 0.349
H 0.890 0.347 0.703
H 0.703 0.890 0.347
H 0.624 0.613 0.255
H 0.442 0.723 0.736
H 0.736 0.442 0.723
H 0.222 0.883 0.875
H 0.938 0.975 0.673
H 0.376 0.387 0.745
H 0.125 0.778 0.117
H 0.613 0.255 0.624
H 0.532 0.316 0.004
H 0.387 0.745 0.376
H 0.004 0.532 0.316
H 0.117 0.125 0.778
H 0.316 0.004 0.532
H 0.723 0.736 0.442
H 0.975 0.673 0.938
H 0.745 0.376 0.387
H 0.110 0.653 0.297
H 0.062 0.025 0.327
H 0.297 0.110 0.653
H 0.558 0.277 0.264
H 0.653 0.297 0.110
H 0.883 0.875 0.222
H 0.264 0.558 0.277
H 0.025 0.327 0.062
H 0.684 0.996 0.468
H 0.327 0.062 0.025
H 0.468 0.684 0.996
H 0.875 0.222 0.883
H 0.673 0.938 0.975
H 0.778 0.117 0.125
H 0.255 0.624 0.613
H 0.277 0.264 0.558
H 0.347 0.703 0.890
H 0.996 0.468 0.684
Na 0.533 0.999 0.179
Na 0.179 0.533 0.999
Na 0.001 0.821 0.467
Na 0.999 0.179 0.533
Na 0.821 0.467 0.001
Na 0.467 0.001 0.821
O 0.990 0.384 0.705
O 0.616 0.295 0.010
O 0.705 0.990 0.384
O 0.722 0.343 0.717
O 0.668 0.023 0.047
O 0.278 0.657 0.283
O 0.047 0.668 0.023
O 0.023 0.047 0.668
O 0.384 0.705 0.990
O 0.295 0.010 0.616
O 0.343 0.717 0.722
O 0.717 0.722 0.343
O 0.657 0.283 0.278
O 0.283 0.278 0.657
O 0.977 0.953 0.332
O 0.332 0.977 0.953
O 0.010 0.616 0.295
O 0.953 0.332 0.977
C 0.296 0.307 0.170
C 0.830 0.704 0.693
C 0.170 0.296 0.307
C 0.693 0.830 0.704
C 0.307 0.170 0.296
C 0.704 0.693 0.830
S 0.658 0.633 0.947
S 0.633 0.947 0.658
S 0.367 0.053 0.342
S 0.947 0.658 0.633
S 0.053 0.342 0.367
S 0.342 0.367 0.053

KNaSb4O12 | PBE | relaxed

Properties
Final energy   -5.52 eV per atom
ΔH_f (0 K)   -1.6279 eV/atom
Crystal system   tetragonal

Unit cell a=5.603 b=5.603 c=7.935 alpha=90.00 beta=90.00 gamma=90.00
Sites, in units of the cell vectors:
O 0.500 0.000 0.500
O 0.500 0.000 0.000
O 0.747 0.253 0.256
O 0.000 0.500 0.000
O 0.747 0.253 0.744
O 0.253 0.253 0.744
O 0.747 0.747 0.256
O 0.000 0.500 0.500
O 0.253 0.747 0.744
O 0.747 0.747 0.744
O 0.253 0.747 0.256
O 0.253 0.253 0.256
K 0.000 0.000 0.000
Na 0.500 0.500 0.500
Sb 0.500 0.000 0.250
Sb 0.000 0.500 0.250
Sb 0.000 0.500 0.750
Sb 0.500 0.000 0.750

BeHgO3 | PBE | relaxed

Properties
Final energy   -4.26 eV per atom
ΔH_f (0 K)   -0.8933 eV/atom
Crystal system   cubic

Unit cell a=3.657 b=3.657 c=3.657 alpha=90.00 beta=90.00 gamma=90.00
Sites, in units of the cell vectors:
O 0.000 0.500 0.500
O 0.500 0.000 0.500
O 0.500 0.500 0.000
Be 0.500 0.500 0.500
Hg 0.000 0.000 0.000

RbInBr3 | PBE | relaxed

Properties
Final energy   -2.90 eV per atom
ΔH_f (0 K)   -1.4909 eV/atom
Crystal system   trigonal

Unit cell a=8.083 b=8.083 c=8.083 alpha=60.08 beta=60.08 gamma=60.08
Sites, in units of the cell vectors:
Br 0.310 0.751 0.185
Br 0.751 0.185 0.310
Br 0.685 0.251 0.810
Br 0.810 0.685 0.251
Br 0.185 0.310 0.751
Br 0.251 0.810 0.685
Rb 0.230 0.230 0.230
Rb 0.730 0.730 0.730
In 0.996 0.996 0.996
In 0.496 0.496 0.496

Na2Al2P2SO12 | PBE | relaxed

Properties
Final energy   -6.73 eV per atom
ΔH_f (0 K)   -2.7216 eV/atom

Unit cell a=8.447 b=8.447 c=21.600 alpha=90.32 beta=89.68 gamma=119.83
Sites, in units of the cell vectors:
Al 0.334 0.665 0.814
Al 0.990 0.997 0.352
Al 0.669 0.344 0.186
Al 0.656 0.331 0.686
Al 0.669 0.333 0.981
Al 0.323 0.664 0.019
Al 0.002 0.999 0.648
Al 0.667 0.331 0.481
Al 0.003 0.010 0.852
Al 0.335 0.666 0.314
Al 0.336 0.677 0.519
Al 0.001 0.998 0.148
O 0.162 0.692 0.756
O 0.834 0.534 0.026
O 0.543 0.837 0.475
O 0.641 0.149 0.425
O 0.497 0.123 0.641
O 0.852 0.499 0.424
O 0.129 0.634 0.357
O 0.498 0.363 0.140
O 0.834 0.814 0.590
O 0.358 0.505 0.075
O 0.308 0.483 0.759
O 0.035 0.826 0.695
O 0.210 0.170 0.808
O 0.517 0.692 0.259
O 0.145 0.643 0.076
O 0.519 0.833 0.757
O 0.830 0.790 0.308
O 0.141 0.499 0.576
O 0.466 0.166 0.526
O 0.023 0.188 0.909
O 0.799 0.832 0.193
O 0.700 0.537 0.523
O 0.637 0.502 0.640
O 0.631 0.124 0.140
O 0.161 0.975 0.909
O 0.508 0.632 0.862
O 0.174 0.965 0.195
O 0.812 0.977 0.409
O 0.184 0.026 0.592
O 0.971 0.168 0.307
O 0.851 0.359 0.925
O 0.479 0.310 0.743
O 0.298 0.457 0.473
O 0.828 0.308 0.242
O 0.368 0.492 0.362
O 0.357 0.855 0.576
O 0.543 0.702 0.973
O 0.167 0.481 0.257
O 0.165 0.696 0.473
O 0.692 0.172 0.742
O 0.641 0.504 0.923
O 0.168 0.201 0.693
O 0.304 0.835 0.973
O 0.974 0.816 0.092
O 0.841 0.299 0.528
O 0.501 0.148 0.924
O 0.832 0.029 0.807
O 0.876 0.369 0.640
O 0.209 0.035 0.306
O 0.701 0.159 0.028
O 0.495 0.642 0.575
O 0.132 0.499 0.860
O 0.163 0.457 0.975
O 0.308 0.838 0.256
O 0.167 0.193 0.409
O 0.834 0.526 0.743
O 0.501 0.859 0.076
O 0.877 0.503 0.141
O 0.474 0.166 0.243
O 0.186 0.166 0.090
O 0.366 0.871 0.857
O 0.690 0.521 0.243
O 0.496 0.359 0.423
O 0.025 0.839 0.409
O 0.807 0.833 0.909
O 0.501 0.868 0.360
O 0.796 0.967 0.690
O 0.965 0.791 0.806
O 0.829 0.025 0.090
O 0.033 0.204 0.190
O 0.975 0.171 0.590
O 0.463 0.300 0.023
Na 0.664 0.966 0.584
Na 0.667 0.322 0.334
Na 0.331 0.299 0.918
Na 0.678 0.333 0.834
Na 0.997 0.632 0.251
Na 0.701 0.669 0.418
Na 0.000 0.988 0.000
Na 0.345 0.666 0.167
Na 0.034 0.336 0.084
Na 0.334 0.655 0.667
Na 0.368 0.003 0.751
Na 0.012 0.000 0.500
P 0.954 0.626 0.083
P 0.333 0.952 0.916
P 0.048 0.667 0.416
P 0.620 0.960 0.416
P 0.381 0.334 0.083
P 0.374 0.046 0.583
P 0.715 0.001 0.750
P 0.040 0.380 0.916
P 0.707 0.713 0.250
P 0.999 0.285 0.250
P 0.287 0.293 0.750
P 0.666 0.619 0.583
S 0.328 0.375 0.417
S 0.994 0.708 0.750
S 0.625 0.672 0.917
S 0.661 0.041 0.084
S 0.292 0.006 0.250
S 0.959 0.339 0.584

BaCaB2O5 | PBE | relaxed

Properties
Final energy   -7.49 eV per atom
ΔH_f (0 K)   -3.2070 eV/atom
Crystal system   monoclinic

Unit cell a=20.832 b=6.656 c=8.292 alpha=63.04 beta=90.00 gamma=90.00
Sites, in units of the cell vectors:
O 0.655 0.320 0.561
O 0.659 0.446 0.239
O 0.752 0.273 0.422
O 0.003 0.781 0.389
O 0.155 0.292 0.577
O 0.244 0.281 0.394
O 0.496 0.229 0.570
O 0.159 0.554 0.261
O 0.341 0.554 0.761
O 0.004 0.229 0.070
O 0.155 0.680 0.939
O 0.756 0.719 0.606
O 0.393 0.164 0.460
O 0.248 0.727 0.578
O 0.744 0.719 0.106
O 0.893 0.836 0.040
O 0.997 0.219 0.611
O 0.915 0.217 0.407
O 0.748 0.273 0.922
O 0.085 0.783 0.593
O 0.497 0.781 0.889
O 0.909 0.954 0.723
O 0.252 0.727 0.078
O 0.845 0.320 0.061
O 0.107 0.164 0.960
O 0.091 0.046 0.277
O 0.409 0.046 0.777
O 0.591 0.954 0.223
O 0.503 0.219 0.111
O 0.585 0.217 0.907
O 0.996 0.771 0.930
O 0.841 0.446 0.739
O 0.345 0.292 0.077
O 0.655 0.708 0.923
O 0.845 0.708 0.423
O 0.504 0.771 0.430
O 0.415 0.783 0.093
O 0.256 0.281 0.894
O 0.607 0.836 0.540
O 0.345 0.680 0.439
Ba 0.531 0.521 0.239
Ba 0.779 0.993 0.767
Ba 0.279 0.007 0.733
Ba 0.221 0.007 0.233
Ba 0.721 0.993 0.267
Ba 0.031 0.479 0.261
Ba 0.469 0.479 0.761
Ba 0.969 0.521 0.739
B 0.191 0.652 0.085
B 0.188 0.370 0.417
B 0.435 0.146 0.592
B 0.058 0.865 0.425
B 0.812 0.630 0.583
B 0.565 0.854 0.408
B 0.558 0.135 0.075
B 0.065 0.146 0.092
B 0.942 0.135 0.575
B 0.309 0.652 0.585
B 0.809 0.348 0.915
B 0.442 0.865 0.925
B 0.688 0.630 0.083
B 0.312 0.370 0.917
B 0.935 0.854 0.908
B 0.691 0.348 0.415
Ca 0.085 0.990 0.767
Ca 0.164 0.496 0.752
Ca 0.336 0.496 0.252
Ca 0.915 0.010 0.233
Ca 0.585 0.010 0.733
Ca 0.415 0.990 0.267
Ca 0.664 0.504 0.748
Ca 0.836 0.504 0.248

ThAs2 | PBE | relaxed

Properties
Final energy   -6.63 eV per atom
ΔH_f (0 K)   -1.0488 eV/atom
Crystal system   tetragonal

Unit cell a=4.128 b=4.128 c=8.544 alpha=90.00 beta=90.00 gamma=90.00
Sites, in units of the cell vectors:
As 0.000 0.500 0.640
As 0.500 0.500 0.000
As 0.000 0.000 0.000
As 0.500 0.000 0.360
Th 0.500 0.000 0.718
Th 0.000 0.500 0.282

BaYMgCu2O5 | PBE | relaxed

Properties
Final energy   -6.10 eV per atom
ΔH_f (0 K)   -2.1556 eV/atom
Crystal system   monoclinic
Distance to the lowest polymorph of the same formula   162 meV per atom

Unit cell a=3.765 b=4.194 c=9.419 alpha=90.07 beta=90.00 gamma=89.99
Sites, in units of the cell vectors:
Y 0.000 0.000 0.482
O 0.500 0.000 0.304
O 0.000 0.500 0.615
O 0.500 0.500 0.922
O 0.000 0.501 0.299
O 0.500 0.000 0.613
Cu 0.500 0.500 0.313
Cu 0.500 0.500 0.606
Ba 0.000 0.000 0.111
Mg 0.000 0.499 0.824

Number 2 is which compound?
KNaSb4O12

What is the formula in the fourth record?
RbInBr3

What did the first record say?
NaH6CSNO3 | PBE | relaxed

Properties
Final energy   -5.31 eV per atom
ΔH_f (0 K)   -1.0283 eV/atom
Crystal system   trigonal
Distance to the lowest polymorph of the same formula   0 meV per atom

Unit cell a=10.705 b=10.705 c=10.705 alpha=110.78 beta=110.78 gamma=110.78
Sites, in units of the cell vectors:
N 0.349 0.219 0.208
N 0.792 0.651 0.781
N 0.781 0.792 0.651
N 0.208 0.349 0.219
N 0.651 0.781 0.792
N 0.219 0.208 0.349
H 0.890 0.347 0.703
H 0.703 0.890 0.347
H 0.624 0.613 0.255
H 0.442 0.723 0.736
H 0.736 0.442 0.723
H 0.222 0.883 0.875
H 0.938 0.975 0.673
H 0.376 0.387 0.745
H 0.125 0.778 0.117
H 0.613 0.255 0.624
H 0.532 0.316 0.004
H 0.387 0.745 0.376
H 0.004 0.532 0.316
H 0.117 0.125 0.778
H 0.316 0.004 0.532
H 0.723 0.736 0.442
H 0.975 0.673 0.938
H 0.745 0.376 0.387
H 0.110 0.653 0.297
H 0.062 0.025 0.327
H 0.297 0.110 0.653
H 0.558 0.277 0.264
H 0.653 0.297 0.110
H 0.883 0.875 0.222
H 0.264 0.558 0.277
H 0.025 0.327 0.062
H 0.684 0.996 0.468
H 0.327 0.062 0.025
H 0.468 0.684 0.996
H 0.875 0.222 0.883
H 0.673 0.938 0.975
H 0.778 0.117 0.125
H 0.255 0.624 0.613
H 0.277 0.264 0.558
H 0.347 0.703 0.890
H 0.996 0.468 0.684
Na 0.533 0.999 0.179
Na 0.179 0.533 0.999
Na 0.001 0.821 0.467
Na 0.999 0.179 0.533
Na 0.821 0.467 0.001
Na 0.467 0.001 0.821
O 0.990 0.384 0.705
O 0.616 0.295 0.010
O 0.705 0.990 0.384
O 0.722 0.343 0.717
O 0.668 0.023 0.047
O 0.278 0.657 0.283
O 0.047 0.668 0.023
O 0.023 0.047 0.668
O 0.384 0.705 0.990
O 0.295 0.010 0.616
O 0.343 0.717 0.722
O 0.717 0.722 0.343
O 0.657 0.283 0.278
O 0.283 0.278 0.657
O 0.977 0.953 0.332
O 0.332 0.977 0.953
O 0.010 0.616 0.295
O 0.953 0.332 0.977
C 0.296 0.307 0.170
C 0.830 0.704 0.693
C 0.170 0.296 0.307
C 0.693 0.830 0.704
C 0.307 0.170 0.296
C 0.704 0.693 0.830
S 0.658 0.633 0.947
S 0.633 0.947 0.658
S 0.367 0.053 0.342
S 0.947 0.658 0.633
S 0.053 0.342 0.367
S 0.342 0.367 0.053